No. 1
{
  "formula": "MgCu2Rh4O8",
  "functional": "PBE",
  "state": "relaxed",
  "total_magnetization_mub_per_atom": 0.000,
  "delta_e_f_mev_per_atom": -1095.5,
  "cell": [[5.221, -3.016, 0.000], [5.221, 3.016, 0.000], [-3.487, 0.000, 5.339]],
  "species": ["Mg", "Cu", "Cu", "Rh", "Rh", "Rh", "Rh", "O", "O", "O", "O", "O", "O", "O", "O"],
  "frac_coords": [[0.000, 0.000, 0.000], [0.153, 0.153, 0.460], [0.847, 0.847, 0.540], [0.000, 0.500, 0.000], [0.500, 0.000, 0.000], [0.500, 0.500, 0.000], [0.500, 0.500, 0.500], [0.254, 0.254, 0.234], [0.254, 0.727, 0.235], [0.269, 0.269, 0.808], [0.273, 0.746, 0.765], [0.727, 0.254, 0.235], [0.731, 0.731, 0.192], [0.746, 0.273, 0.765], [0.746, 0.746, 0.766]]
}



No. 2
{
  "formula": "Rb3SbF6",
  "functional": "PBE",
  "state": "relaxed",
  "total_magnetization_mub_per_atom": 0.000,
  "delta_e_f_mev_per_atom": -2790.9,
  "cell": [[7.255, 0.000, 0.000], [-1.359, 7.149, 0.000], [-2.160, -1.782, 6.791]],
  "species": ["Rb", "Rb", "Rb", "Sb", "F", "F", "F", "F", "F", "F"],
  "frac_coords": [[0.000, 0.000, 0.000], [0.000, 0.500, 0.500], [0.500, 0.000, 0.500], [0.000, 0.000, 0.500], [0.040, 0.777, 0.274], [0.207, 0.209, 0.416], [0.237, 0.917, 0.710], [0.763, 0.083, 0.290], [0.793, 0.791, 0.584], [0.960, 0.223, 0.726]]
}



No. 3
{
  "formula": "GeH2C4F10",
  "functional": "PBE",
  "state": "relaxed",
  "total_magnetization_mub_per_atom": 0.001,
  "delta_e_f_mev_per_atom": -1466.7,
  "cell": [[0.000, 9.898, 2.907], [9.767, 0.000, 2.907], [9.767, 9.898, 0.000]],
  "species": ["Ge", "Ge", "H", "H", "H", "H", "C", "C", "C", "C", "C", "C", "C", "C", "F", "F", "F", "F", "F", "F", "F", "F", "F", "F", "F", "F", "F", "F", "F", "F", "F", "F", "F", "F"],
  "frac_coords": [[0.000, 0.000, 0.000], [0.250, 0.250, 0.250], [0.059, 0.217, 0.814], [0.217, 0.059, 0.909], [0.341, 0.436, 0.033], [0.436, 0.341, 0.191], [0.024, 0.758, 0.941], [0.133, 0.933, 0.411], [0.309, 0.973, 0.226], [0.726, 0.839, 0.317], [0.758, 0.024, 0.277], [0.839, 0.726, 0.117], [0.933, 0.133, 0.524], [0.973, 0.309, 0.492], [0.090, 0.325, 0.504], [0.106, 0.794, 0.567], [0.117, 0.541, 0.267], [0.169, 0.746, 0.925], [0.175, 0.983, 0.709], [0.226, 0.753, 0.348], [0.325, 0.090, 0.081], [0.496, 0.694, 0.461], [0.541, 0.117, 0.075], [0.577, 0.902, 0.497], [0.683, 0.717, 0.144], [0.694, 0.496, 0.348], [0.717, 0.683, 0.456], [0.746, 0.169, 0.160], [0.753, 0.226, 0.673], [0.789, 0.902, 0.754], [0.794, 0.106, 0.533], [0.902, 0.577, 0.024], [0.902, 0.789, 0.556], [0.983, 0.175, 0.133]]
}



No. 4
{
  "formula": "Ho3InN",
  "functional": "PBE",
  "state": "relaxed",
  "delta_e_f_mev_per_atom": -1078.1,
  "cell": [[4.789, 0.000, 0.000], [0.000, 4.789, 0.000], [0.000, 0.000, 4.789]],
  "species": ["Ho", "Ho", "Ho", "In", "N"],
  "frac_coords": [[0.000, 0.000, 0.500], [0.000, 0.500, 0.000], [0.500, 0.000, 0.000], [0.500, 0.500, 0.500], [0.000, 0.000, 0.000]]
}



No. 5
{
  "formula": "NaSO4",
  "functional": "PBE",
  "state": "relaxed",
  "total_magnetization_mub_per_atom": 0.000,
  "delta_e_f_mev_per_atom": -1737.3,
  "cell": [[4.878, 0.000, 0.000], [-0.762, 5.662, 0.000], [-1.404, -1.440, 5.860]],
  "species": ["Na", "Na", "S", "S", "O", "O", "O", "O", "O", "O", "O", "O"],
  "frac_coords": [[0.035, 0.314, 0.207], [0.965, 0.686, 0.793], [0.389, 0.220, 0.752], [0.611, 0.780, 0.248], [0.230, 0.104, 0.887], [0.231, 0.355, 0.606], [0.320, 0.652, 0.127], [0.421, 0.965, 0.584], [0.579, 0.035, 0.416], [0.680, 0.348, 0.873], [0.769, 0.645, 0.394], [0.770, 0.896, 0.113]]
}



No. 6
{
  "formula": "LiGdP4O12",
  "functional": "PBE",
  "state": "relaxed",
  "total_magnetization_mub_per_atom": 0.389,
  "delta_e_f_mev_per_atom": -2920.0,
  "cell": [[8.277, -3.578, 0.000], [8.277, 3.578, 0.000], [-5.785, 0.000, 7.901]],
  "species": ["Li", "Li", "Gd", "Gd", "P", "P", "P", "P", "P", "P", "P", "P", "O", "O", "O", "O", "O", "O", "O", "O", "O", "O", "O", "O", "O", "O", "O", "O", "O", "O", "O", "O", "O", "O", "O", "O"],
  "frac_coords": [[0.205, 0.795, 0.750], [0.795, 0.205, 0.250], [0.297, 0.703, 0.250], [0.703, 0.297, 0.750], [0.085, 0.191, 0.615], [0.191, 0.085, 0.115], [0.201, 0.507, 0.805], [0.493, 0.799, 0.695], [0.507, 0.201, 0.305], [0.799, 0.493, 0.195], [0.809, 0.915, 0.885], [0.915, 0.809, 0.385], [0.033, 0.281, 0.232], [0.061, 0.073, 0.430], [0.073, 0.061, 0.930], [0.101, 0.675, 0.317], [0.163, 0.327, 0.651], [0.258, 0.490, 0.973], [0.281, 0.033, 0.732], [0.325, 0.899, 0.183], [0.327, 0.163, 0.151], [0.339, 0.515, 0.771], [0.485, 0.661, 0.729], [0.490, 0.258, 0.473], [0.510, 0.742, 0.527], [0.515, 0.339, 0.271], [0.661, 0.485, 0.229], [0.673, 0.837, 0.849], [0.675, 0.101, 0.817], [0.719, 0.967, 0.268], [0.742, 0.510, 0.027], [0.837, 0.673, 0.349], [0.899, 0.325, 0.683], [0.927, 0.939, 0.070], [0.939, 0.927, 0.570], [0.967, 0.719, 0.768]]
}